Entry 1:
A plane-wave DFT calculation with GGA+U was carried out for KMnH3C3O6 after structural relaxation.

Output
ΔE_f ... -1.4826 eV per atom
Space-group type ... C2/c (15)
ρ ... 2.0 g/cm³
Total DFT energy (no corrections) ... -6.628 eV per atom

Unit cell a=7.279 b=7.279 c=7.246 alpha=85.01 beta=85.01 gamma=78.59
Atoms (fractional coordinates):
K 0.601 0.399 0.750
K 0.399 0.601 0.250
Mn 0.500 0.000 0.500
Mn 0.000 0.500 0.000
H 0.063 0.211 0.516
H 0.789 0.937 0.984
H 0.937 0.789 0.484
H 0.211 0.063 0.016
H 0.127 0.873 0.750
H 0.873 0.127 0.250
C 0.248 0.752 0.750
C 0.752 0.248 0.250
C 0.121 0.256 0.637
C 0.744 0.879 0.863
C 0.879 0.744 0.363
C 0.256 0.121 0.137
O 0.378 0.754 0.621
O 0.246 0.622 0.879
O 0.622 0.246 0.379
O 0.754 0.378 0.121
O 0.298 0.212 0.647
O 0.788 0.702 0.853
O 0.702 0.788 0.353
O 0.212 0.298 0.147
O 0.654 0.996 0.748
O 0.004 0.346 0.752
O 0.346 0.004 0.252
O 0.996 0.654 0.248

---

Entry 2:
A plane-wave DFT calculation with GGA+U was carried out for Li4TiFe3O8 after structural relaxation.

Output
ΔE_f ... -2.2339 eV per atom
Relative energy among the computed polymorphs ... 12.1 meV per atom
Space-group type ... P1 (1)
ρ ... 3.3 g/cm³
Total DFT energy (no corrections) ... -6.500 eV per atom

Unit cell a=5.091 b=5.661 c=6.541 alpha=90.55 beta=90.10 gamma=90.07
Atoms (fractional coordinates):
Li 0.990 0.919 0.381
Li 0.501 0.580 0.872
Li 0.990 0.422 0.124
Li 0.501 0.088 0.625
Ti 0.502 0.082 0.126
Fe 0.985 0.908 0.865
Fe 0.500 0.583 0.375
Fe 0.993 0.415 0.627
O 0.396 0.932 0.892
O 0.393 0.909 0.355
O 0.889 0.570 0.870
O 0.873 0.579 0.385
O 0.375 0.430 0.612
O 0.393 0.400 0.137
O 0.888 0.098 0.624
O 0.857 0.083 0.130

---

Entry 3:
A plane-wave DFT calculation with GGA+U was carried out for LiV4P3O12 after structural relaxation.

Output
ΔE_f ... -2.5119 eV per atom
Relative energy among the computed polymorphs ... 32.2 meV per atom
Space-group type ... Pnma (62)
ρ ... 3.5 g/cm³
Total DFT energy (no corrections) ... -7.453 eV per atom

Unit cell a=6.524 b=10.038 c=14.419 alpha=90.00 beta=90.00 gamma=90.00
Atoms (fractional coordinates):
Li 0.055 0.740 0.250
Li 0.445 0.240 0.750
Li 0.555 0.760 0.250
Li 0.945 0.260 0.750
V 0.150 0.452 0.598
V 0.150 0.452 0.902
V 0.153 0.847 0.609
V 0.153 0.847 0.891
V 0.347 0.347 0.109
V 0.347 0.347 0.391
V 0.350 0.952 0.098
V 0.350 0.952 0.402
V 0.650 0.048 0.598
V 0.650 0.048 0.902
V 0.653 0.653 0.609
V 0.653 0.653 0.891
V 0.847 0.153 0.109
V 0.847 0.153 0.391
V 0.850 0.548 0.402
V 0.850 0.548 0.098
P 0.994 0.404 0.250
P 0.147 0.131 0.575
P 0.147 0.131 0.925
P 0.353 0.631 0.075
P 0.353 0.631 0.425
P 0.506 0.904 0.750
P 0.494 0.096 0.250
P 0.647 0.369 0.575
P 0.647 0.369 0.925
P 0.853 0.869 0.425
P 0.853 0.869 0.075
P 0.006 0.596 0.750
O 0.024 0.963 0.115
O 0.024 0.963 0.385
O 0.063 0.445 0.750
O 0.098 0.652 0.659
O 0.098 0.652 0.841
O 0.083 0.208 0.014
O 0.083 0.208 0.486
O 0.178 0.525 0.052
O 0.178 0.525 0.448
O 0.217 0.235 0.646
O 0.217 0.235 0.854
O 0.227 0.382 0.250
O 0.273 0.882 0.750
O 0.283 0.735 0.354
O 0.283 0.735 0.146
O 0.322 0.025 0.552
O 0.322 0.025 0.948
O 0.417 0.708 0.514
O 0.417 0.708 0.986
O 0.402 0.152 0.159
O 0.402 0.152 0.341
O 0.437 0.945 0.250
O 0.476 0.463 0.615
O 0.476 0.463 0.885
O 0.524 0.537 0.115
O 0.524 0.537 0.385
O 0.563 0.055 0.750
O 0.598 0.848 0.659
O 0.598 0.848 0.841
O 0.583 0.292 0.014
O 0.583 0.292 0.486
O 0.678 0.975 0.448
O 0.678 0.975 0.052
O 0.717 0.265 0.646
O 0.717 0.265 0.854
O 0.727 0.118 0.250
O 0.773 0.618 0.750
O 0.783 0.765 0.146
O 0.783 0.765 0.354
O 0.822 0.475 0.552
O 0.822 0.475 0.948
O 0.917 0.792 0.514
O 0.917 0.792 0.986
O 0.902 0.348 0.159
O 0.902 0.348 0.341
O 0.937 0.555 0.250
O 0.976 0.037 0.615
O 0.976 0.037 0.885